## ScBiO3 (PBE)

Data for crystalline ScBiO3 at its relaxed geometry.

The symmetry is No. 62.

```
20
Lattice="-2.452 3.137 -3.939 -1.660 -4.895 -2.865 -6.921 -0.119 4.214" Properties=species:S:1:pos:R:3 pbc="T T T"
Sc -0.830 -2.447 -1.433
Sc -4.291 -2.507 0.674
Sc -1.226 1.569 -1.969
Sc -4.687 1.509 0.138
Bi -1.832 -0.220 0.881
Bi -3.836 -1.165 -2.438
Bi -7.197 -0.711 -0.153
Bi -9.202 -1.656 -3.471
O -6.366 -2.356 1.167
O -2.197 -3.371 -2.803
O -4.858 -3.417 -1.183
O -1.678 -0.525 -1.871
O -4.340 -0.571 -0.251
O -6.196 0.936 1.539
O -4.838 -2.812 -4.129
O -6.694 -1.305 -2.340
O -9.356 -1.350 -0.719
O -6.175 1.541 -1.407
O -8.837 1.495 0.213
O -4.668 0.480 -3.757
```



## K2NaMgTiOF5 (PBE)

Data for crystalline K2NaMgTiOF5 at its relaxed geometry.

Its distance to the lowest polymorph of the same formula is 84 kJ/mol of formula units. The symmetry is No. 44.

```
11
Lattice="-1.145 5.293 4.175 -5.491 0.247 2.625 -0.105 0.126 6.836" Properties=species:S:1:pos:R:3 pbc="T T T"
K -1.291 1.897 4.189
K -5.141 4.147 10.060
Na -3.083 3.183 7.386
Mg -2.605 0.295 1.591
Ti -1.260 5.407 10.991
O -4.818 1.069 3.957
F -1.964 1.209 6.731
F -4.436 1.321 7.913
F -2.538 4.062 5.262
F -5.010 4.173 6.444
F -2.140 4.334 9.252
```



Energy readings, ordered: -7.374; -5.021 eV/atom
M_tot readings, ordered: 0.0; 2.0 μB/cell